Compound: Tm2ZnAg
Source: the Materials Project database
Functional: PBE
Structure: optimized geometry

The structure in extended XYZ format:
```
4
Lattice="0.000 3.565 3.565 3.565 0.000 3.565 3.565 3.565 0.000" Properties=species:S:1:pos:R:3 pbc="T T T"
Tm 1.783 1.783 1.783
Tm 5.348 5.348 5.348
Zn 0.000 0.000 0.000
Ag 3.565 3.565 3.565
```

***

Compound: UAg3
Source: the Materials Project database
Functional: PBE
Structure: optimized geometry

The structure in extended XYZ format:
```
4
Lattice="-2.396 2.396 3.772 2.396 -2.396 3.772 2.396 2.396 -3.772" Properties=species:S:1:pos:R:3 pbc="T T T"
U 0.000 0.000 0.000
Ag 2.396 0.000 1.886
Ag 0.000 0.000 3.772
Ag 0.000 2.396 1.886
```

***

Compound: Ag3W
Source: the Materials Project database
Functional: PBE
Structure: optimized geometry

The structure in extended XYZ format:
```
4
Lattice="0.000 3.256 3.256 3.256 0.000 3.256 3.256 3.256 0.000" Properties=species:S:1:pos:R:3 pbc="T T T"
Ag 0.000 0.000 0.000
Ag 1.628 1.628 1.628
Ag 4.883 4.883 4.883
W 3.256 3.256 3.256
```

***

Compound: YAg3
Source: the Materials Project database
Functional: PBE
Structure: optimized geometry

The structure in extended XYZ format:
```
4
Lattice="0.000 3.480 3.480 3.480 0.000 3.480 3.480 3.480 0.000" Properties=species:S:1:pos:R:3 pbc="T T T"
Y 0.000 0.000 0.000
Ag 1.740 1.740 1.740
Ag 3.480 3.480 3.480
Ag 5.221 5.221 5.221
```

***

Compound: YAg3
Source: the Materials Project database
Functional: PBE
Structure: optimized geometry

The structure in extended XYZ format:
```
4
Lattice="-2.220 2.220 4.241 2.220 -2.220 4.241 2.220 2.220 -4.241" Properties=species:S:1:pos:R:3 pbc="T T T"
Y 0.000 0.000 0.000
Ag 2.220 0.000 2.121
Ag 0.000 0.000 4.241
Ag 0.000 2.220 2.121
```

***

Compound: Zn3Ag
Source: the Materials Project database
Functional: PBE
Structure: optimized geometry

The structure in extended XYZ format:
```
4
Lattice="2.889 0.000 0.000 -1.445 2.502 0.000 0.000 0.000 8.703" Properties=species:S:1:pos:R:3 pbc="T T T"
Zn 0.000 0.000 0.000
Zn 1.445 0.834 2.116
Zn 1.445 0.834 6.587
Ag 0.000 0.000 4.351
```

***

Compound: Zn8Ag5
Source: the Materials Project database
Functional: PBE
Structure: optimized geometry

The structure in extended XYZ format:
```
26
Lattice="-4.721 4.721 4.721 4.721 -4.721 4.721 4.721 4.721 -4.721" Properties=species:S:1:pos:R:3 pbc="T T T"
Zn 1.036 1.036 -1.036
Zn 1.036 -1.036 1.036
Zn 4.993 1.747 -1.747
Zn 4.993 -1.747 1.747
Zn -1.036 1.036 1.036
Zn 2.974 2.974 -0.272
Zn 2.974 -0.272 2.974
Zn 1.747 4.993 -1.747
Zn 1.747 -1.747 4.993
Zn 4.449 1.747 1.747
Zn -0.272 2.974 2.974
Zn 1.747 4.449 1.747
Zn 1.747 1.747 4.449
Zn -1.747 4.993 1.747
Zn -1.747 1.747 4.993
Zn 3.685 3.685 3.685
Ag 3.024 3.024 -3.024
Ag 3.338 0.000 0.000
Ag 3.024 -3.024 3.024
Ag 6.104 0.000 0.000
Ag 0.000 3.338 0.000
Ag 0.000 0.000 3.338
Ag 1.697 1.697 1.697
Ag -3.024 3.024 3.024
Ag 0.000 6.104 0.000
Ag 0.000 0.000 6.104
```

***

Compound: ZnAg
Source: the Materials Project database
Functional: PBE
Structure: optimized geometry

The structure in extended XYZ format:
```
2
Lattice="1.551 -2.380 0.000 1.551 2.380 0.000 0.000 0.000 4.525" Properties=species:S:1:pos:R:3 pbc="T T T"
Zn 0.000 0.000 0.000
Ag 1.551 0.000 2.262
```

***

Compound: ZnAg3
Source: the Materials Project database
Functional: PBE
Structure: optimized geometry

The structure in extended XYZ format:
```
4
Lattice="-2.015 2.015 4.251 2.015 -2.015 4.251 2.015 2.015 -4.251" Properties=species:S:1:pos:R:3 pbc="T T T"
Zn 0.000 0.000 0.000
Ag 2.015 0.000 2.125
Ag 0.000 0.000 4.251
Ag 0.000 2.015 2.125
```

***

Compound: Zn2Ag
Source: the Materials Project database
Functional: PBE
Structure: optimized geometry

The structure in extended XYZ format:
```
12
Lattice="5.115 0.000 0.000 -2.558 4.430 0.000 0.000 0.000 8.359" Properties=species:S:1:pos:R:3 pbc="T T T"
Zn 0.000 0.000 0.000
Zn 0.000 0.000 4.180
Zn 0.000 1.508 2.090
Zn -1.252 3.676 2.090
Zn 1.306 0.754 6.269
Zn 1.252 3.676 2.090
Zn 3.810 0.754 6.269
Zn 2.558 2.922 6.269
Ag 0.000 2.953 4.696
Ag 0.000 2.953 7.843
Ag 2.558 1.477 0.516
Ag 2.558 1.477 3.664
```

***

Compound: ZnAg3
Source: the Materials Project database
Functional: PBE
Structure: optimized geometry

The structure in extended XYZ format:
```
4
Lattice="4.100 0.000 0.000 0.000 4.100 0.000 0.000 0.000 4.100" Properties=species:S:1:pos:R:3 pbc="T T T"
Zn 0.000 0.000 0.000
Ag 0.000 2.050 2.050
Ag 2.050 0.000 2.050
Ag 2.050 2.050 0.000
```

***

Compound: ZnAg
Source: the Materials Project database
Functional: PBE
Structure: optimized geometry

The structure in extended XYZ format:
```
18
Lattice="2.900 0.000 0.000 -0.089 7.659 0.000 -0.072 -0.146 13.269" Properties=species:S:1:pos:R:3 pbc="T T T"
Zn 0.000 0.000 0.000
Zn 2.848 0.007 9.205
Zn 2.840 3.889 2.535
Zn -0.095 6.416 6.726
Zn 0.002 2.726 0.111
Zn 0.411 6.525 2.326
Zn 0.587 2.621 9.005
Zn 1.379 2.644 4.554
Zn 1.300 6.386 11.237
Ag 1.386 1.400 11.291
Ag 1.384 5.346 4.560
Ag 1.376 5.236 8.788
Ag 1.444 1.118 6.955
Ag 1.476 1.418 2.079
Ag 1.470 5.113 0.322
Ag 2.743 4.031 11.127
Ag 2.837 0.303 4.478
Ag 2.809 3.710 6.652
```

***

Compound: Zn3Ag
Source: the Materials Project database
Functional: PBE
Structure: optimized geometry

The structure in extended XYZ format:
```
8
Lattice="5.829 0.000 0.000 -2.915 5.048 0.000 0.000 0.000 4.272" Properties=species:S:1:pos:R:3 pbc="T T T"
Zn 0.000 1.647 1.068
Zn -1.489 4.225 1.068
Zn 1.426 0.823 3.204
Zn 1.489 4.225 1.068
Zn 4.403 0.823 3.204
Zn 2.915 3.402 3.204
Ag 0.000 3.365 3.204
Ag 2.915 1.683 1.068
```

***

Compound: ZnAg
Source: the Materials Project database
Functional: PBE
Structure: optimized geometry

The structure in extended XYZ format:
```
2
Lattice="2.914 0.000 0.000 -1.457 2.524 0.000 0.000 0.000 4.505" Properties=species:S:1:pos:R:3 pbc="T T T"
Zn 0.000 0.000 0.000
Ag 0.000 1.682 2.253
```

***

Compound: ZnAg
Source: the Materials Project database
Functional: PBE
Structure: optimized geometry

The structure in extended XYZ format:
```
2
Lattice="3.191 0.000 0.000 0.000 3.191 0.000 0.000 0.000 3.191" Properties=species:S:1:pos:R:3 pbc="T T T"
Zn 0.000 0.000 0.000
Ag 1.596 1.596 1.596
```

***

Compound: ZnAg3
Source: the Materials Project database
Functional: PBE
Structure: optimized geometry

The structure in extended XYZ format:
```
8
Lattice="5.813 0.000 0.000 -2.906 5.034 0.000 0.000 0.000 4.688" Properties=species:S:1:pos:R:3 pbc="T T T"
Zn 0.000 3.356 1.172
Zn 2.906 1.678 3.516
Ag 0.000 1.699 3.516
Ag -1.435 4.185 3.516
Ag 1.471 0.849 1.172
Ag 1.435 4.185 3.516
Ag 4.342 0.849 1.172
Ag 2.906 3.335 1.172
```

***

Compound: Zr4ZnAg
Source: the Materials Project database
Functional: PBE
Structure: optimized geometry

The structure in extended XYZ format:
```
24
Lattice="0.000 6.333 6.333 6.333 0.000 6.333 6.333 6.333 0.000" Properties=species:S:1:pos:R:3 pbc="T T T"
Zr 6.333 6.333 2.360
Zr 6.333 2.360 6.333
Zr 10.306 6.333 6.333
Zr 4.687 4.687 4.687
Zr 7.979 7.979 4.687
Zr 7.979 4.687 7.979
Zr 9.500 9.500 7.115
Zr 9.500 7.115 9.500
Zr 11.884 9.500 9.500
Zr 2.360 6.333 6.333
Zr 6.333 10.306 6.333
Zr 6.333 6.333 10.306
Zr 4.687 7.979 7.979
Zr 7.115 9.500 9.500
Zr 9.500 11.884 9.500
Zr 9.500 9.500 11.884
Zn 1.983 1.983 1.983
Zn 4.350 4.350 1.983
Zn 4.350 1.983 4.350
Zn 1.983 4.350 4.350
Ag 7.394 5.273 5.273
Ag 5.273 7.394 5.273
Ag 5.273 5.273 7.394
Ag 7.394 7.394 7.394
```

***

Compound: Zr3Ag
Source: the Materials Project database
Functional: PBE
Structure: optimized geometry

The structure in extended XYZ format:
```
4
Lattice="4.416 0.000 0.000 0.000 4.416 0.000 0.000 0.000 4.416" Properties=species:S:1:pos:R:3 pbc="T T T"
Zr 0.000 0.000 2.208
Zr 0.000 2.208 0.000
Zr 2.208 0.000 0.000
Ag 2.208 2.208 2.208
```

***

Compound: ZrAg2
Source: the Materials Project database
Functional: PBE
Structure: optimized geometry

The structure in extended XYZ format:
```
3
Lattice="-1.791 1.791 4.529 1.791 -1.791 4.529 1.791 1.791 -4.529" Properties=species:S:1:pos:R:3 pbc="T T T"
Zr 0.000 0.000 0.000
Ag 0.000 0.000 2.977
Ag 0.000 0.000 6.082
```

***

2
Lattice="0.000 2.867 2.867 2.867 0.000 2.867 2.867 2.867 0.000" Properties=species:S:1:pos:R:3 comment="AlAs | the Materials Project database | PBE | optimized geometry" e_ij_max_c_m2=0.08 pbc="T T T"
Al 0.000 0.000 0.000
As 4.300 4.300 4.300

***

Number 1: mass density 9.364 g cm⁻³, VASP energy -3.605 eV per atom, ΔH_f (0 K) -0.34 eV per atom. Number 2: mass density 10.772 g cm⁻³, VASP energy -4.580 eV per atom, ΔH_f (0 K) 0.37 eV per atom. Number 3: mass density 12.211 g cm⁻³, VASP energy -4.496 eV per atom, ΔH_f (0 K) 0.87 eV per atom. Number 4: mass density 8.124 g cm⁻³, VASP energy -3.968 eV per atom, ΔH_f (0 K) -0.23 eV per atom. Number 5: mass density 8.194 g cm⁻³, VASP energy -3.975 eV per atom, ΔH_f (0 K) -0.23 eV per atom. Number 6: mass density 8.025 g cm⁻³, VASP energy -1.681 eV per atom, ΔH_f (0 K) -0.03 eV per atom. Number 7: mass density 8.386 g cm⁻³, VASP energy -1.931 eV per atom, ΔH_f (0 K) -0.07 eV per atom. Number 8: mass density 8.610 g cm⁻³, VASP energy -2.063 eV per atom, ΔH_f (0 K) -0.02 eV per atom. Number 9: mass density 9.356 g cm⁻³, VASP energy -2.460 eV per atom, ΔH_f (0 K) -0.02 eV per atom. Number 10: mass density 8.369 g cm⁻³, VASP energy -1.828 eV per atom, ΔH_f (0 K) -0.04 eV per atom. Number 11: mass density 9.369 g cm⁻³, VASP energy -2.468 eV per atom, ΔH_f (0 K) -0.03 eV per atom. Number 12: mass density 8.787 g cm⁻³, VASP energy -2.090 eV per atom, ΔH_f (0 K) -0.04 eV per atom. Number 13: mass density 8.033 g cm⁻³, VASP energy -1.694 eV per atom, ΔH_f (0 K) -0.04 eV per atom. Number 14: mass density 8.685 g cm⁻³, VASP energy -2.085 eV per atom, ΔH_f (0 K) -0.04 eV per atom. Number 15: mass density 8.854 g cm⁻³, VASP energy -2.096 eV per atom, ΔH_f (0 K) -0.05 eV per atom. Number 16: mass density 9.417 g cm⁻³, VASP energy -2.463 eV per atom, ΔH_f (0 K) -0.02 eV per atom. Number 17: mass density 7.036 g cm⁻³, VASP energy -6.423 eV per atom, ΔH_f (0 K) -0.04 eV per atom. Number 18: mass density 7.355 g cm⁻³, VASP energy -7.096 eV per atom, ΔH_f (0 K) 0.02 eV per atom. Number 19: mass density 8.769 g cm⁻³, VASP energy -4.786 eV per atom, ΔH_f (0 K) -0.05 eV per atom. Number 20: mass density 3.591 g cm⁻³, VASP energy -4.687 eV per atom, ΔH_f (0 K) -0.49 eV per atom.